VASP calculation (PBE with a Hubbard U) on Ti3Mn2NiP6O24 after structural relaxation.

Values from the calculation:
The formation energy comes out at -2.809 eV per atom. As for the total energy after the MP2020 corrections: -8.338 eV/atom. The magnetization is 0.333 μB/atom. For the final energy, the calculation gives -277.80 eV for the cell shown. The space group is R3 (146).

Structure (CIF):
```
data_Ti3Mn2NiP6O24
_chemical_formula_sum 'Ti3 Mn2 Ni1 P6 O24'
_cell_length_a 8.637
_cell_length_b 8.637
_cell_length_c 8.637
_cell_angle_alpha 59.94
_cell_angle_beta 59.94
_cell_angle_gamma 59.94
_symmetry_space_group_name_H-M 'P 1'
_symmetry_Int_Tables_number 1
_symmetry_space_group_name_Hall 'P 1'
loop_
_atom_site_label
_atom_site_fract_x
_atom_site_fract_y
_atom_site_fract_z
Ti1 0.856 0.856 0.856
Ti2 0.646 0.646 0.646
Ti3 0.353 0.353 0.353
Mn1 0.004 0.004 0.004
Mn2 0.501 0.501 0.501
Ni1 0.144 0.144 0.144
P1 0.044 0.749 0.457
P2 0.749 0.457 0.044
P3 0.457 0.044 0.749
P4 0.541 0.956 0.248
P5 0.248 0.541 0.956
P6 0.956 0.248 0.541
O1 0.509 0.882 0.683
O2 0.882 0.683 0.509
O3 0.738 0.941 0.086
O4 0.683 0.509 0.882
O5 0.387 0.986 0.194
O6 0.567 0.763 0.416
O7 0.086 0.738 0.941
O8 0.416 0.567 0.763
O9 0.999 0.808 0.623
O10 0.763 0.416 0.567
O11 0.054 0.908 0.267
O12 0.808 0.623 0.999
O13 0.194 0.387 0.986
O14 0.941 0.086 0.738
O15 0.235 0.582 0.447
O16 0.986 0.194 0.387
O17 0.582 0.447 0.235
O18 0.908 0.267 0.054
O19 0.447 0.235 0.582
O20 0.623 0.999 0.808
O21 0.307 0.499 0.121
O22 0.267 0.054 0.908
O23 0.121 0.307 0.499
O24 0.499 0.121 0.307
```

VASP calculation (PBE with a Hubbard U) on NbCo3O8 after structural relaxation.

Values from the calculation:
The formation energy comes out at -1.614 eV per atom. The excess energy over the best structure of this formula in the dataset comes out at 0.0 meV per atom. As for the total energy after the MP2020 corrections: -7.532 eV/atom. The magnetization is 0.167 μB/atom. For the final energy, the calculation gives -159.94 eV for the cell shown. The space group is Cc (9).

Structure (CIF):
```
data_NbCo3O8
_chemical_formula_sum 'Nb2 Co6 O16'
_cell_length_a 5.685
_cell_length_b 5.724
_cell_length_c 9.242
_cell_angle_alpha 89.60
_cell_angle_beta 90.20
_cell_angle_gamma 120.23
_symmetry_space_group_name_H-M 'P 1'
_symmetry_Int_Tables_number 1
_symmetry_space_group_name_Hall 'P 1'
loop_
_atom_site_label
_atom_site_fract_x
_atom_site_fract_y
_atom_site_fract_z
Nb1 0.333 0.674 0.499
Nb2 0.667 0.341 0.999
Co1 0.170 0.832 0.215
Co2 0.169 0.338 0.214
Co3 0.664 0.833 0.216
Co4 0.336 0.168 0.716
Co5 0.830 0.662 0.715
Co6 0.831 0.169 0.714
O1 0.163 0.837 0.600
O2 0.037 0.512 0.328
O3 0.339 0.671 0.112
O4 0.995 0.997 0.311
O5 0.005 0.001 0.811
O6 0.160 0.326 0.601
O7 0.487 0.963 0.332
O8 0.482 0.515 0.328
O9 0.327 0.166 0.103
O10 0.673 0.839 0.603
O11 0.513 0.476 0.832
O12 0.518 0.033 0.828
O13 0.661 0.332 0.612
O14 0.837 0.674 0.100
O15 0.963 0.476 0.828
O16 0.840 0.166 0.101
```

VASP calculation (PBE with a Hubbard U) on HoV2O6 after structural relaxation.

Values from the calculation:
The formation energy comes out at -2.802 eV per atom. As for the total energy after the MP2020 corrections: -8.629 eV/atom. The magnetization is 0.111 μB/atom. For the final energy, the calculation gives -140.28 eV for the cell shown. The space group is Pc (7).

Structure (CIF):
```
data_HoV2O6
_chemical_formula_sum 'Ho2 V4 O12'
_cell_length_a 5.537
_cell_length_b 5.170
_cell_length_c 9.077
_cell_angle_alpha 55.17
_cell_angle_beta 90.00
_cell_angle_gamma 90.00
_symmetry_space_group_name_H-M 'P 1'
_symmetry_Int_Tables_number 1
_symmetry_space_group_name_Hall 'P 1'
loop_
_atom_site_label
_atom_site_fract_x
_atom_site_fract_y
_atom_site_fract_z
Ho1 0.160 0.737 0.249
Ho2 0.840 0.737 0.749
V1 0.725 0.969 0.003
V2 0.713 0.482 0.493
V3 0.275 0.969 0.503
V4 0.287 0.482 0.993
O1 0.721 0.160 0.744
O2 0.430 0.753 0.053
O3 0.438 0.362 0.448
O4 0.949 0.696 0.034
O5 0.951 0.262 0.468
O6 0.241 0.818 0.758
O7 0.279 0.160 0.244
O8 0.570 0.753 0.553
O9 0.562 0.362 0.948
O10 0.049 0.262 0.968
O11 0.051 0.696 0.534
O12 0.759 0.818 0.258
```

VASP calculation (PBE with a Hubbard U) on Ca3Ni2Ge3O12 after structural relaxation.

Values from the calculation:
The formation energy comes out at -2.265 eV per atom. As for the total energy after the MP2020 corrections: -6.806 eV/atom. The magnetization is 0.250 μB/atom. For the final energy, the calculation gives -491.21 eV for the cell shown. The space group is Ia-3d (230).

Structure (CIF):
```
data_Ca3Ni2Ge3O12
_chemical_formula_sum 'Ca12 Ni8 Ge12 O48'
_cell_length_a 10.733
_cell_length_b 10.733
_cell_length_c 10.733
_cell_angle_alpha 109.47
_cell_angle_beta 109.47
_cell_angle_gamma 109.47
_symmetry_space_group_name_H-M 'P 1'
_symmetry_Int_Tables_number 1
_symmetry_space_group_name_Hall 'P 1'
loop_
_atom_site_label
_atom_site_fract_x
_atom_site_fract_y
_atom_site_fract_z
Ca1 0.250 0.875 0.625
Ca2 0.750 0.625 0.875
Ca3 0.625 0.875 0.750
Ca4 0.875 0.625 0.250
Ca5 0.625 0.250 0.875
Ca6 0.875 0.750 0.625
Ca7 0.750 0.125 0.375
Ca8 0.250 0.375 0.125
Ca9 0.375 0.125 0.250
Ca10 0.125 0.375 0.750
Ca11 0.375 0.750 0.125
Ca12 0.125 0.250 0.375
Ni1 0.500 0.500 0.500
Ni2 0.500 0.000 0.500
Ni3 0.000 0.500 0.500
Ni4 0.500 0.500 0.000
Ni5 0.000 0.000 0.500
Ni6 0.000 0.500 0.000
Ni7 0.500 0.000 0.000
Ni8 0.000 0.000 0.000
Ge1 0.125 0.750 0.875
Ge2 0.875 0.250 0.125
Ge3 0.625 0.375 0.250
Ge4 0.750 0.875 0.125
Ge5 0.875 0.125 0.750
Ge6 0.250 0.625 0.375
Ge7 0.750 0.375 0.625
Ge8 0.250 0.125 0.875
Ge9 0.125 0.875 0.250
Ge10 0.375 0.625 0.750
Ge11 0.625 0.750 0.375
Ge12 0.375 0.250 0.625
O1 0.416 0.815 0.797
O2 0.881 0.399 0.084
O3 0.101 0.981 0.685
O4 0.519 0.619 0.703
O5 0.685 0.084 0.703
O6 0.619 0.703 0.519
O7 0.619 0.416 0.101
O8 0.703 0.519 0.619
O9 0.815 0.519 0.399
O10 0.981 0.797 0.881
O11 0.797 0.881 0.981
O12 0.703 0.685 0.084
O13 0.416 0.101 0.619
O14 0.399 0.815 0.519
O15 0.084 0.703 0.685
O16 0.101 0.619 0.416
O17 0.519 0.399 0.815
O18 0.084 0.881 0.399
O19 0.981 0.685 0.101
O20 0.185 0.481 0.601
O21 0.685 0.101 0.981
O22 0.797 0.416 0.815
O23 0.399 0.084 0.881
O24 0.881 0.981 0.797
O25 0.584 0.185 0.203
O26 0.119 0.601 0.916
O27 0.899 0.019 0.315
O28 0.481 0.381 0.297
O29 0.315 0.916 0.297
O30 0.381 0.297 0.481
O31 0.381 0.584 0.899
O32 0.297 0.481 0.381
O33 0.119 0.019 0.203
O34 0.601 0.916 0.119
O35 0.203 0.584 0.185
O36 0.185 0.203 0.584
O37 0.315 0.899 0.019
O38 0.019 0.315 0.899
O39 0.916 0.119 0.601
O40 0.481 0.601 0.185
O41 0.899 0.381 0.584
O42 0.916 0.297 0.315
O43 0.601 0.185 0.481
O44 0.584 0.899 0.381
O45 0.297 0.315 0.916
O46 0.203 0.119 0.019
O47 0.019 0.203 0.119
O48 0.815 0.797 0.416
```

VASP calculation (PBE with a Hubbard U) on Ba2La2Fe2Cu2O11 after structural relaxation.

Values from the calculation:
The formation energy comes out at -2.305 eV per atom. The excess energy over the best structure of this formula in the dataset comes out at 5.3 meV per atom. As for the total energy after the MP2020 corrections: -7.214 eV/atom. The magnetization is 0.338 μB/atom. For the final energy, the calculation gives -125.00 eV for the cell shown. The space group is P4mm (99).

Structure (CIF):
```
data_Ba2La2Fe2Cu2O11
_chemical_formula_sum 'Ba2 La2 Fe2 Cu2 O11'
_cell_length_a 5.604
_cell_length_b 5.604
_cell_length_c 7.935
_cell_angle_alpha 90.00
_cell_angle_beta 90.00
_cell_angle_gamma 90.00
_symmetry_space_group_name_H-M 'P 1'
_symmetry_Int_Tables_number 1
_symmetry_space_group_name_Hall 'P 1'
loop_
_atom_site_label
_atom_site_fract_x
_atom_site_fract_y
_atom_site_fract_z
Ba1 0.000 0.500 0.750
Ba2 0.500 0.000 0.750
La1 0.500 0.000 0.245
La2 0.000 0.500 0.245
Fe1 0.000 0.000 0.477
Fe2 0.500 0.500 0.999
Cu1 0.000 0.000 0.007
Cu2 0.500 0.500 0.502
O1 0.759 0.759 0.492
O2 0.245 0.245 0.014
O3 0.759 0.241 0.492
O4 0.245 0.755 0.014
O5 0.755 0.245 0.014
O6 0.241 0.759 0.492
O7 0.755 0.755 0.014
O8 0.241 0.241 0.492
O9 0.500 0.500 0.250
O10 0.000 0.000 0.249
O11 0.500 0.500 0.755
```

VASP calculation (PBE with a Hubbard U) on SmCoO3 after structural relaxation.

Values from the calculation:
The formation energy comes out at -2.442 eV per atom. As for the total energy after the MP2020 corrections: -7.776 eV/atom. The magnetization is 0.000 μB/atom. For the final energy, the calculation gives -35.18 eV for the cell shown. The space group is Pm-3m (221).

Structure (CIF):
```
data_SmCoO3
_chemical_formula_sum 'Sm1 Co1 O3'
_cell_length_a 3.757
_cell_length_b 3.757
_cell_length_c 3.757
_cell_angle_alpha 90.00
_cell_angle_beta 90.00
_cell_angle_gamma 90.00
_symmetry_space_group_name_H-M 'P 1'
_symmetry_Int_Tables_number 1
_symmetry_space_group_name_Hall 'P 1'
loop_
_atom_site_label
_atom_site_fract_x
_atom_site_fract_y
_atom_site_fract_z
Sm1 0.500 0.500 0.500
Co1 0.000 0.000 0.000
O1 0.500 0.000 0.000
O2 0.000 0.500 0.000
O3 0.000 0.000 0.500
```

VASP calculation (PBE with a Hubbard U) on Li9Mg12FeP12O48 after structural relaxation.

Values from the calculation:
The formation energy comes out at -2.009 eV per atom. As for the total energy after the MP2020 corrections: -6.245 eV/atom. The magnetization is 0.085 μB/atom. For the final energy, the calculation gives -502.07 eV for the cell shown. The space group is P1 (1).

Structure (CIF):
```
data_Li9Mg12FeP12O48
_chemical_formula_sum 'Li9 Mg12 Fe1 P12 O48'
_cell_length_a 8.171
_cell_length_b 11.319
_cell_length_c 12.675
_cell_angle_alpha 109.24
_cell_angle_beta 93.96
_cell_angle_gamma 92.51
_symmetry_space_group_name_H-M 'P 1'
_symmetry_Int_Tables_number 1
_symmetry_space_group_name_Hall 'P 1'
loop_
_atom_site_label
_atom_site_fract_x
_atom_site_fract_y
_atom_site_fract_z
Li1 0.022 0.928 0.021
Li2 0.468 0.995 0.078
Li3 0.963 0.756 0.691
Li4 0.573 0.618 0.530
Li5 0.344 0.173 0.779
Li6 0.021 0.172 0.643
Li7 0.478 0.318 0.343
Li8 0.537 0.525 0.952
Li9 0.062 0.507 0.153
Mg1 0.780 0.703 0.069
Mg2 0.275 0.682 0.807
Mg3 0.756 0.024 0.871
Mg4 0.706 0.309 0.746
Mg5 0.197 0.932 0.585
Mg6 0.067 0.408 0.360
Mg7 0.071 0.459 0.631
Mg8 0.688 0.104 0.436
Mg9 0.448 0.770 0.210
Mg10 0.115 0.182 0.015
Mg11 0.798 0.127 0.152
Mg12 0.205 0.428 0.930
Fe1 0.935 0.734 0.336
P1 0.156 0.705 0.007
P2 0.761 0.354 0.491
P3 0.440 0.345 0.102
P4 0.313 0.375 0.724
P5 0.800 0.978 0.639
P6 0.750 0.938 0.238
P7 0.348 0.980 0.840
P8 0.275 0.114 0.431
P9 0.745 0.503 0.256
P10 0.662 0.732 0.818
P11 0.253 0.670 0.395
P12 0.829 0.321 0.951
O1 0.554 0.666 0.087
O2 0.982 0.754 0.013
O3 0.680 0.663 0.898
O4 0.242 0.866 0.841
O5 0.183 0.295 0.772
O6 0.511 0.700 0.737
O7 0.084 0.630 0.707
O8 0.861 0.386 0.183
O9 0.177 0.240 0.439
O10 0.916 0.078 0.012
O11 0.525 0.979 0.896
O12 0.768 0.431 0.916
O13 0.795 0.828 0.816
O14 0.470 0.297 0.722
O15 0.912 0.349 0.681
O16 0.271 0.105 0.906
O17 0.762 0.403 0.636
O18 0.358 0.987 0.719
O19 0.993 0.977 0.656
O20 0.344 0.635 0.486
O21 0.206 0.078 0.528
O22 0.261 0.329 0.395
O23 0.937 0.416 0.486
O24 0.777 0.199 0.847
O25 0.258 0.819 0.123
O26 0.786 0.733 0.558
O27 0.359 0.704 0.314
O28 0.771 0.080 0.578
O29 0.626 0.435 0.465
O30 0.459 0.150 0.438
O31 0.139 0.785 0.446
O32 0.114 0.565 0.323
O33 0.830 0.073 0.302
O34 0.870 0.834 0.236
O35 0.548 0.446 0.205
O36 0.548 0.224 0.071
O37 0.153 0.588 0.049
O38 0.600 0.922 0.302
O39 0.246 0.943 0.110
O40 0.742 0.844 0.528
O41 0.345 0.503 0.832
O42 0.904 0.296 0.242
O43 0.558 0.176 0.169
O44 0.813 0.592 0.193
O45 0.703 0.932 0.115
O46 0.275 0.315 0.141
O47 0.021 0.333 0.982
O48 0.422 0.383 0.999
```

VASP calculation (PBE with a Hubbard U) on MgMn2O4 after structural relaxation.

Values from the calculation:
The formation energy comes out at -2.152 eV per atom. The excess energy over the best structure of this formula in the dataset comes out at 189.0 meV per atom. As for the total energy after the MP2020 corrections: -7.826 eV/atom. The magnetization is 1.143 μB/atom. For the final energy, the calculation gives -48.70 eV for the cell shown. The space group is P1 (1).

Structure (CIF):
```
data_MgMn2O4
_chemical_formula_sum 'Mg1 Mn2 O4'
_cell_length_a 3.044
_cell_length_b 5.937
_cell_length_c 5.342
_cell_angle_alpha 98.55
_cell_angle_beta 91.69
_cell_angle_gamma 70.28
_symmetry_space_group_name_H-M 'P 1'
_symmetry_Int_Tables_number 1
_symmetry_space_group_name_Hall 'P 1'
loop_
_atom_site_label
_atom_site_fract_x
_atom_site_fract_y
_atom_site_fract_z
Mg1 0.326 0.427 0.583
Mn1 0.985 0.028 0.005
Mn2 0.483 0.960 0.496
O1 0.076 0.773 0.617
O2 0.600 0.854 0.137
O3 0.388 0.182 0.839
O4 0.939 0.235 0.409
```

VASP calculation (PBE with a Hubbard U) on Li2Si6Ni3O16 after structural relaxation.

Values from the calculation:
The formation energy comes out at -2.651 eV per atom. As for the total energy after the MP2020 corrections: -7.573 eV/atom. The magnetization is 0.222 μB/atom. For the final energy, the calculation gives -371.69 eV for the cell shown. The space group is P-1 (2).

Structure (CIF):
```
data_Li2Si6Ni3O16
_chemical_formula_sum 'Li4 Si12 Ni6 O32'
_cell_length_a 6.899
_cell_length_b 9.648
_cell_length_c 10.007
_cell_angle_alpha 78.92
_cell_angle_beta 70.18
_cell_angle_gamma 81.95
_symmetry_space_group_name_H-M 'P 1'
_symmetry_Int_Tables_number 1
_symmetry_space_group_name_Hall 'P 1'
loop_
_atom_site_label
_atom_site_fract_x
_atom_site_fract_y
_atom_site_fract_z
Li1 0.891 0.884 0.468
Li2 0.841 0.584 0.800
Li3 0.159 0.416 0.200
Li4 0.109 0.116 0.532
Si1 0.995 0.862 0.763
Si2 0.544 0.864 0.771
Si3 0.213 0.676 0.949
Si4 0.260 0.617 0.351
Si5 0.651 0.604 0.124
Si6 0.793 0.608 0.379
Si7 0.207 0.392 0.621
Si8 0.349 0.396 0.876
Si9 0.740 0.383 0.649
Si10 0.787 0.324 0.051
Si11 0.456 0.136 0.229
Si12 0.005 0.138 0.237
Ni1 0.424 0.865 0.472
Ni2 0.849 0.891 0.098
Ni3 0.352 0.883 0.108
Ni4 0.648 0.117 0.892
Ni5 0.151 0.109 0.902
Ni6 0.576 0.135 0.528
O1 0.940 0.977 0.875
O2 0.444 0.975 0.886
O3 0.134 0.915 0.602
O4 0.532 0.930 0.614
O5 0.790 0.809 0.743
O6 0.069 0.707 0.843
O7 0.276 0.784 0.346
O8 0.443 0.713 0.841
O9 0.651 0.770 0.065
O10 0.720 0.773 0.384
O11 0.127 0.765 0.079
O12 0.236 0.501 0.999
O13 0.227 0.446 0.760
O14 0.040 0.570 0.354
O15 0.412 0.562 0.201
O16 0.317 0.508 0.481
O17 0.683 0.492 0.519
O18 0.588 0.438 0.799
O19 0.960 0.430 0.646
O20 0.773 0.554 0.240
O21 0.764 0.499 0.001
O22 0.873 0.235 0.921
O23 0.280 0.227 0.616
O24 0.349 0.230 0.935
O25 0.557 0.287 0.159
O26 0.724 0.216 0.654
O27 0.931 0.293 0.157
O28 0.210 0.191 0.257
O29 0.468 0.070 0.386
O30 0.866 0.085 0.398
O31 0.556 0.025 0.114
O32 0.060 0.023 0.125
```

Among the records above, which one has the lowest total energy after the MP2020 corrections?
HoV2O6

Among the records above, which one has the lowest total energy after the MP2020 corrections?
HoV2O6

Number 2 is which compound?
NbCo3O8

Among the records above, which one has the lowest magnetization?
SmCoO3